Record 1
A plane-wave DFT calculation with r2SCAN was carried out for a relaxed structure of AlF3.

Values from the calculation:
energy of formation from the pure elements = -372.0 kJ per mole of atoms

a = 6.910 Å, b = 11.906 Å, c = 7.064 Å
α = 90.00°, β = 90.00°, γ = 90.00°
Space group Cmcm (No. 63)
Inequivalent atoms, fractional coordinates:
1 Al 0.000 0.000 0.000 (multiplicity 4)
2 Al 0.250 0.250 0.000 (multiplicity 8)
3 F 0.000 0.029 0.250 (multiplicity 4)
4 F 0.000 0.286 0.037 (multiplicity 8)
5 F 0.184 0.105 0.533 (multiplicity 16)
6 F 0.220 0.274 0.750 (multiplicity 8)


Record 2
A plane-wave DFT calculation with r2SCAN was carried out for a relaxed structure of AlFeF5.

Values from the calculation:
energy of formation from the pure elements = -308.7 kJ per mole of atoms

a = 3.555 Å, b = 6.172 Å, c = 7.448 Å
α = 90.00°, β = 90.00°, γ = 90.00°
Space group Immm (No. 71)
Inequivalent atoms, fractional coordinates:
1 Al 0.000 0.000 0.000 (multiplicity 2)
2 Fe 0.000 0.000 0.500 (multiplicity 2)
3 F 0.000 0.000 0.240 (multiplicity 4)
4 F 0.000 0.294 0.000 (multiplicity 4)
5 F 0.000 0.500 0.500 (multiplicity 2)


Record 3
A plane-wave DFT calculation with r2SCAN was carried out for a relaxed structure of KAlF4.

Values from the calculation:
energy of formation from the pure elements = -351.0 kJ per mole of atoms

a = 5.019 Å, b = 5.019 Å, c = 6.170 Å
α = 90.00°, β = 90.00°, γ = 90.00°
Space group P4/mbm (No. 127)
Inequivalent atoms, fractional coordinates:
1 K 0.000 0.500 0.000 (multiplicity 2)
2 Al 0.000 0.000 0.500 (multiplicity 2)
3 F 0.000 0.000 0.213 (multiplicity 4)
4 F 0.196 0.304 0.500 (multiplicity 4)


Record 4
A plane-wave DFT calculation with r2SCAN was carried out for a relaxed structure of KAlF4.

Values from the calculation:
energy of formation from the pure elements = -351.4 kJ per mole of atoms

a = 6.430 Å, b = 7.228 Å, c = 7.330 Å
α = 90.00°, β = 106.91°, γ = 90.00°
Space group P2_1/m (No. 11)
Inequivalent atoms, fractional coordinates:
1 K 0.041 0.250 0.133 (multiplicity 2)
2 K 0.049 0.250 0.635 (multiplicity 2)
3 Al 0.500 0.000 0.000 (multiplicity 2)
4 Al 0.500 0.000 0.500 (multiplicity 2)
5 F 0.216 0.035 0.424 (multiplicity 4)
6 F 0.217 0.038 0.931 (multiplicity 4)
7 F 0.450 0.750 0.968 (multiplicity 2)
8 F 0.453 0.750 0.507 (multiplicity 2)
9 F 0.498 0.020 0.749 (multiplicity 4)